Entry from the Materials Project database: a relaxed structure of LiBiB2O5 (PBE).

Cell and atoms, written as CIF:
```
data_LiBiB2O5
_chemical_formula_sum 'Li8 Bi8 B16 O40'
_space_group_name_H-M_alt 'C 1 2/c 1'
_space_group_IT_number 15
_cell_length_a 10.435
_cell_length_b 10.859
_cell_length_c 10.227
_cell_angle_alpha 90.00
_cell_angle_beta 116.90
_cell_angle_gamma 90.00
loop_
_space_group_symop_operation_xyz
'x,y,z'
'-x,-y,-z'
'-x,y,-z+1/2'
'x,-y,z+1/2'
'x+1/2,y+1/2,z'
'-x+1/2,-y+1/2,-z'
'-x+1/2,y+1/2,-z+1/2'
'x+1/2,-y+1/2,z+1/2'
loop_
_atom_site_label
_atom_site_type_symbol
_atom_site_fract_x
_atom_site_fract_y
_atom_site_fract_z
Li1 Li 0.190 0.146 0.157
Bi1 Bi 0.000 0.146 0.750
Bi2 Bi 0.000 0.421 0.250
B1 B 0.078 0.326 0.530
B2 B 0.231 0.004 0.910
O1 O 0.032 0.285 0.105
O2 O 0.108 0.299 0.668
O3 O 0.162 0.416 0.500
O4 O 0.173 0.004 0.262
O5 O 0.193 0.091 0.981
```

Computed properties:
corrected total energy (MP2020 scheme) = -7.2725 eV/atom
total DFT energy (no corrections) = -6.8908 eV/atom
formation energy from the elements = -21.55 eV/f.u.
distance to the lowest polymorph of the same formula = 51 meV/atom